Rb3Ta2S11: optimized geometry, PBE.

a = 12.0137 Å, b = 8.1499 Å, c = 19.6765 Å
α = 90.00°, β = 103.25°, γ = 90.00°
Space group P2_1/c (No. 14)
Asymmetric unit:
Rb (0.0018, 0.1730, 0.1598) x4
Rb (0.2314, 0.6881, 0.1150) x4
Rb (0.4603, 0.6561, 0.3568) x4
Ta (0.1963, 0.2270, 0.9920) x4
Ta (0.2890, 0.1409, 0.3372) x4
S (0.0016, 0.6247, 0.5135) x4
S (0.0824, 0.0205, 0.4523) x4
S (0.1064, 0.2266, 0.8407) x4
S (0.2037, 0.1090, 0.7789) x4
S (0.2326, 0.5704, 0.7646) x4
S (0.2505, 0.5531, 0.4683) x4
S (0.2544, 0.0049, 0.4477) x4
S (0.2578, 0.2365, 0.6073) x4
S (0.3682, 0.1304, 0.9570) x4
S (0.4751, 0.2212, 0.3144) x4
S (0.4838, 0.0717, 0.4020) x4

Values from the calculation:
* energy with MP2020 corrections: -5.715 eV per atom
* energy of formation: -19.3 eV/f.u.
* raw total energy: -343.7 eV/cell
* crystal system: monoclinic

***

Rb6Ta4S25: optimized geometry, PBE.

a = 37.7578 Å, b = 8.3733 Å, c = 13.1652 Å
α = 90.00°, β = 99.29°, γ = 90.00°
Space group C2/c (No. 15)
Asymmetric unit:
Rb (0.0342, 0.1857, 0.1055) x8
Rb (0.1242, 0.2778, 0.8644) x8
Rb (0.2108, 0.3498, 0.2644) x8
Ta (0.0880, 0.1958, 0.4423) x8
Ta (0.1779, 0.1933, 0.5878) x8
S (0.0000, 0.3375, 0.7500) x4
S (0.0441, 0.4819, 0.7865) x8
S (0.0452, 0.4285, 0.4353) x8
S (0.0494, 0.0071, 0.3700) x8
S (0.0776, 0.1923, 0.6239) x8
S (0.1129, 0.3158, 0.2986) x8
S (0.1190, 0.0416, 0.5960) x8
S (0.1354, 0.4182, 0.5627) x8
S (0.1426, 0.1284, 0.3745) x8
S (0.1851, 0.4571, 0.5143) x8
S (0.1909, 0.0845, 0.0435) x8
S (0.2008, 0.2160, 0.7547) x8
S (0.2273, 0.0852, 0.5076) x8

Values from the calculation:
* energy with MP2020 corrections: -5.623 eV per atom
* energy of formation: -40.1 eV/f.u.
* raw total energy: -737.0 eV/cell
* crystal system: monoclinic

***

Rb5Tc3S7: optimized geometry, PBE.

a = 18.6980 Å, b = 10.7916 Å, c = 11.0262 Å
α = 90.00°, β = 126.00°, γ = 90.00°
Space group Cm (No. 8)
Asymmetric unit:
Rb (0.0000, 0.0000, 0.0000) x2
Rb (0.0169, 0.0000, 0.5720) x2
Rb (0.1541, 0.2830, 0.1454) x4
Rb (0.1552, 0.2936, 0.7379) x4
Rb (0.3195, 0.5000, 0.5730) x2
Rb (0.3452, 0.5000, 0.1338) x2
Rb (0.4738, 0.1997, 0.2619) x4
Tc (0.2321, 0.0000, 0.5181) x2
Tc (0.3560, 0.1229, 0.7635) x4
Tc (0.3569, 0.1238, 0.5253) x4
Tc (0.4791, 0.0000, 0.7674) x2
S (0.0682, 0.0000, 0.3437) x2
S (0.1406, 0.5000, 0.9314) x2
S (0.2403, 0.2222, 0.5285) x4
S (0.2422, 0.0000, 0.7491) x2
S (0.2448, 0.0000, 0.3115) x2
S (0.3606, 0.2881, 0.9194) x4
S (0.3634, 0.2953, 0.3853) x4
S (0.4688, 0.0000, 0.5360) x2
S (0.4686, 0.0000, 0.9761) x2
S (0.4695, 0.2245, 0.7577) x4

Values from the calculation:
* energy with MP2020 corrections: -5.463 eV per atom
* energy of formation: -17.0 eV/f.u.
* raw total energy: -313.7 eV/cell
* crystal system: monoclinic